{
  "formula": "KV3Pb4O12",
  "functional": "GGA+U",
  "state": "relaxed",
  "vol_a3_per_atom": 17.5,
  "spacegroup": "P6_3 (173)",
  "m_tot_mub_per_fu": 0.001,
  "final_energy_ev_per_atom": -6.593,
  "e_form_mev_per_atom": -2130,
  "lattice_angstrom": [[0.4776, 7.0147, 7.5887], [-1.9480, 3.0042, -9.7058], [-7.3936, -0.8255, 1.2284]],
  "species": ["K", "K", "V", "V", "V", "V", "V", "V", "Pb", "Pb", "Pb", "Pb", "Pb", "Pb", "Pb", "Pb", "O", "O", "O", "O", "O", "O", "O", "O", "O", "O", "O", "O", "O", "O", "O", "O", "O", "O", "O", "O", "O", "O", "O", "O"],
  "frac_coords": [[0.3333, 0.6667, 0.0149], [0.6667, 0.3333, 0.5149], [0.0151, 0.3897, 0.2470], [0.6103, 0.6254, 0.2470], [0.3746, 0.9849, 0.2470], [0.9849, 0.6103, 0.7470], [0.3897, 0.3746, 0.7470], [0.6254, 0.0151, 0.7470], [0.2582, 0.0018, 0.7505], [0.9982, 0.2565, 0.7505], [0.7435, 0.7418, 0.7505], [0.7418, 0.9982, 0.2505], [0.0018, 0.7435, 0.2505], [0.2565, 0.2582, 0.2505], [0.6667, 0.3333, 0.0269], [0.3333, 0.6667, 0.5269], [0.3396, 0.2535, 0.5682], [0.7465, 0.0860, 0.5682], [0.9140, 0.6604, 0.5682], [0.6604, 0.7465, 0.0682], [0.2535, 0.9140, 0.0682], [0.0860, 0.3396, 0.0682], [0.6623, 0.7414, 0.4308], [0.2586, 0.9208, 0.4308], [0.0792, 0.3377, 0.4308], [0.3377, 0.2586, 0.9308], [0.7414, 0.0792, 0.9308], [0.9208, 0.6623, 0.9308], [0.0923, 0.5855, 0.2528], [0.4145, 0.5068, 0.2528], [0.4932, 0.9077, 0.2528], [0.9077, 0.4145, 0.7528], [0.5855, 0.4932, 0.7528], [0.5068, 0.0923, 0.7528], [0.7052, 0.5249, 0.2367], [0.4751, 0.1803, 0.2367], [0.8197, 0.2948, 0.2367], [0.2948, 0.4751, 0.7367], [0.5249, 0.8197, 0.7367], [0.1803, 0.7052, 0.7367]]
}

{
  "formula": "KPrZnWO6",
  "functional": "GGA+U",
  "state": "relaxed",
  "vol_a3_per_atom": 12.9,
  "spacegroup": "F-43m (216)",
  "m_tot_mub_per_fu": 0.000,
  "final_energy_ev_per_atom": -6.573,
  "e_form_mev_per_atom": -2450,
  "lattice_angstrom": [[0.0000, -4.0153, -4.0153], [4.0153, 0.0000, -4.0153], [4.0153, -4.0153, 0.0000]],
  "species": ["K", "Pr", "Zn", "W", "O", "O", "O", "O", "O", "O"],
  "frac_coords": [[0.2500, 0.2500, 0.2500], [0.7500, 0.7500, 0.7500], [0.0000, 0.0000, 0.0000], [0.5000, 0.5000, 0.5000], [0.7416, 0.2584, 0.2584], [0.2584, 0.7416, 0.7416], [0.7416, 0.2584, 0.7416], [0.2584, 0.7416, 0.2584], [0.7416, 0.7416, 0.2584], [0.2584, 0.2584, 0.7416]]
}

{
  "formula": "K2RbScV2O8",
  "functional": "GGA+U",
  "state": "relaxed",
  "vol_a3_per_atom": 16.3,
  "spacegroup": "P-3m1 (164)",
  "final_energy_ev_per_atom": -6.879,
  "e_form_mev_per_atom": -2709,
  "lattice_angstrom": [[2.9276, -5.0707, 0.0000], [2.9276, 5.0707, 0.0000], [0.0000, 0.0000, 7.6713]],
  "species": ["K", "K", "Rb", "Sc", "V", "V", "O", "O", "O", "O", "O", "O", "O", "O"],
  "frac_coords": [[0.3333, 0.6667, 0.6976], [0.6667, 0.3333, 0.3024], [0.0000, 0.0000, 0.0000], [0.0000, 0.0000, 0.5000], [0.3333, 0.6667, 0.2582], [0.6667, 0.3333, 0.7418], [0.3333, 0.6667, 0.0384], [0.6667, 0.3333, 0.9616], [0.1696, 0.8304, 0.3366], [0.8304, 0.1696, 0.6634], [0.1696, 0.3391, 0.3366], [0.8304, 0.6609, 0.6634], [0.6609, 0.8304, 0.3366], [0.3391, 0.1696, 0.6634]]
}

{
  "formula": "K2RbSmV2O8",
  "functional": "GGA+U",
  "state": "relaxed",
  "vol_a3_per_atom": 18.3,
  "spacegroup": "P-3m1 (164)",
  "m_tot_mub_per_fu": 0.001,
  "final_energy_ev_per_atom": -6.764,
  "e_form_mev_per_atom": -2708,
  "lattice_angstrom": [[-3.1924, -4.8754, -1.8091], [3.0030, -0.1183, 5.3106], [-6.4324, 2.8388, 3.7006]],
  "species": ["K", "K", "Rb", "Sm", "V", "V", "O", "O", "O", "O", "O", "O", "O", "O"],
  "frac_coords": [[0.3333, 0.6667, 0.7028], [0.6667, 0.3333, 0.2972], [0.0000, 0.0000, 0.0000], [0.0000, 0.0000, 0.5000], [0.3333, 0.6667, 0.2507], [0.6667, 0.3333, 0.7493], [0.3333, 0.6667, 0.0383], [0.6667, 0.3333, 0.9617], [0.1763, 0.8237, 0.3267], [0.8237, 0.1763, 0.6733], [0.1763, 0.3527, 0.3267], [0.8237, 0.6473, 0.6733], [0.6473, 0.8237, 0.3267], [0.3527, 0.1763, 0.6733]]
}

{
  "formula": "K5U4VS4O33",
  "functional": "GGA+U",
  "state": "relaxed",
  "vol_a3_per_atom": 17.4,
  "spacegroup": "P4/n (85)",
  "m_tot_mub_per_fu": 8.198,
  "final_energy_ev_per_atom": -6.898,
  "e_form_mev_per_atom": -2318,
  "lattice_angstrom": [[15.1677, 0.0000, 0.0000], [0.0000, 15.1677, 0.0000], [0.0000, 0.0000, 7.1030]],
  "species": ["K", "K", "K", "K", "K", "K", "K", "K", "K", "K", "U", "U", "U", "U", "U", "U", "U", "U", "V", "V", "S", "S", "S", "S", "S", "S", "S", "S", "O", "O", "O", "O", "O", "O", "O", "O", "O", "O", "O", "O", "O", "O", "O", "O", "O", "O", "O", "O", "O", "O", "O", "O", "O", "O", "O", "O", "O", "O", "O", "O", "O", "O", "O", "O", "O", "O", "O", "O", "O", "O", "O", "O", "O", "O", "O", "O", "O", "O", "O", "O", "O", "O", "O", "O", "O", "O", "O", "O", "O", "O", "O", "O", "O", "O"],
  "frac_coords": [[0.3787, 0.8029, 0.3772], [0.6213, 0.1971, 0.3772], [0.8787, 0.3029, 0.6228], [0.1213, 0.6971, 0.6228], [0.1971, 0.3787, 0.6228], [0.8029, 0.6213, 0.6228], [0.6971, 0.8787, 0.3772], [0.3029, 0.1213, 0.3772], [0.5000, 0.5000, 0.0000], [0.0000, 0.0000, 0.0000], [0.1906, 0.5672, 0.1257], [0.8094, 0.4328, 0.1257], [0.6906, 0.0672, 0.8743], [0.3094, 0.9328, 0.8743], [0.4328, 0.1906, 0.8743], [0.5672, 0.8094, 0.8743], [0.9328, 0.6906, 0.1257], [0.0672, 0.3094, 0.1257], [0.0000, 0.5000, 0.3120], [0.5000, 0.0000, 0.6880], [0.7002, 0.6425, 0.1241], [0.2998, 0.3575, 0.1241], [0.2002, 0.1425, 0.8759], [0.7998, 0.8575, 0.8759], [0.3575, 0.7002, 0.8759], [0.6425, 0.2998, 0.8759], [0.8575, 0.2002, 0.1241], [0.1425, 0.7998, 0.1241], [0.6944, 0.5444, 0.1510], [0.3056, 0.4556, 0.1510], [0.1944, 0.0444, 0.8490], [0.8056, 0.9556, 0.8490], [0.4556, 0.6944, 0.8490], [0.5444, 0.3056, 0.8490], [0.9556, 0.1944, 0.1510], [0.0444, 0.8056, 0.1510], [0.1621, 0.5398, 0.8841], [0.8379, 0.4602, 0.8841], [0.6621, 0.0398, 0.1159], [0.3379, 0.9602, 0.1159], [0.4602, 0.1621, 0.1159], [0.5398, 0.8379, 0.1159], [0.9602, 0.6621, 0.8841], [0.0398, 0.3379, 0.8841], [0.4972, 0.6382, 0.3852], [0.5028, 0.3618, 0.3852], [0.9972, 0.1382, 0.6148], [0.0028, 0.8618, 0.6148], [0.3618, 0.4972, 0.6148], [0.6382, 0.5028, 0.6148], [0.8618, 0.9972, 0.3852], [0.1382, 0.0028, 0.3852], [0.2233, 0.5970, 0.3640], [0.7767, 0.4030, 0.3640], [0.7233, 0.0970, 0.6360], [0.2767, 0.9030, 0.6360], [0.4030, 0.2233, 0.6360], [0.5970, 0.7767, 0.6360], [0.9030, 0.7233, 0.3640], [0.0970, 0.2767, 0.3640], [0.6265, 0.6674, 0.9941], [0.3735, 0.3326, 0.9941], [0.1265, 0.1674, 0.0059], [0.8735, 0.8326, 0.0059], [0.3326, 0.6265, 0.0059], [0.6674, 0.3735, 0.0059], [0.8326, 0.1265, 0.9941], [0.1674, 0.8735, 0.9941], [0.7857, 0.6613, 0.0226], [0.2143, 0.3387, 0.0226], [0.2857, 0.1613, 0.9774], [0.7143, 0.8387, 0.9774], [0.3387, 0.7857, 0.9774], [0.6613, 0.2143, 0.9774], [0.8387, 0.2857, 0.0226], [0.1613, 0.7143, 0.0226], [0.1083, 0.4513, 0.2301], [0.8917, 0.5487, 0.2301], [0.6083, 0.9513, 0.7699], [0.3917, 0.0487, 0.7699], [0.5487, 0.1083, 0.7699], [0.4513, 0.8917, 0.7699], [0.0487, 0.6083, 0.2301], [0.9513, 0.3917, 0.2301], [0.6962, 0.6890, 0.3040], [0.3038, 0.3110, 0.3040], [0.1962, 0.1890, 0.6960], [0.8038, 0.8110, 0.6960], [0.3110, 0.6962, 0.6960], [0.6890, 0.3038, 0.6960], [0.8110, 0.1962, 0.3040], [0.1890, 0.8038, 0.3040], [0.0000, 0.5000, 0.5420], [0.5000, 0.0000, 0.4580]]
}